# TbNd3 (PBE-GGA, relaxed)
data_TbNd3
_chemical_formula_sum 'Tb2 Nd6'
_space_group_name_H-M_alt 'P 63/m m c'
_space_group_IT_number 194
_space_group_name_Hall '-P 6c 2c'
_cell_length_a 7.3238
_cell_length_b 7.3238
_cell_length_c 6.0073
_cell_angle_alpha 90.00
_cell_angle_beta 90.00
_cell_angle_gamma 120.00
loop_
_atom_site_label
_atom_site_type_symbol
_atom_site_fract_x
_atom_site_fract_y
_atom_site_fract_z
Tb1 Tb 0.3333 0.6667 0.2500
Nd1 Nd 0.1673 0.3345 0.7500
# ΔH_f (0 K): 29 meV per atom
# calculated total energy: -4.71 eV per atom

=====

# TbNd (PBE-GGA, relaxed)
data_TbNd
_chemical_formula_sum 'Tb1 Nd1'
_space_group_name_H-M_alt 'P -6 m 2'
_space_group_IT_number 187
_space_group_name_Hall 'P -6 2'
_cell_length_a 3.6346
_cell_length_b 3.6346
_cell_length_c 5.9394
_cell_angle_alpha 90.00
_cell_angle_beta 90.00
_cell_angle_gamma 120.00
loop_
_atom_site_label
_atom_site_type_symbol
_atom_site_fract_x
_atom_site_fract_y
_atom_site_fract_z
Tb1 Tb 0.0000 0.0000 0.0000
Nd1 Nd 0.3333 0.6667 0.5000
# ΔH_f (0 K): 30 meV per atom
# calculated total energy: -4.67 eV per atom